The following is a DFT calculation (PBE) of CeAsRh after structural relaxation.

Properties
E_form in meV/atom: -1144
Final energy in eV/atom: -7.13

Cell: 7.569 4.399 7.326 Å, 90.00 90.00 90.00°
Space group Pnma (No. 62)
One atom of each set of equivalent atoms:
Ce 0.009 0.250 0.229
As 0.218 0.250 0.590
Rh 0.249 0.750 0.431